Density functional theory data (GGA-PBE) for Er2ZnAg after structural relaxation.

Calculated values
Calculated density, g/cm3: 9.21
Calculated formation energy, meV/atom: -339
E, eV/atom: -3.65

Lattice parameters (Å, degrees): 5.058 5.058 5.058 60.00 60.00 60.00
Atoms (fractional coordinates):
Er: 0.250 0.250 0.250
Er: 0.750 0.750 0.750
Ag: 0.500 0.500 0.500
Zn: 0.000 0.000 0.000